(1)
Sc2CoB2Ir5: optimized geometry, GGA-PBE.

a b c (Å): 9.369 9.369 3.053
angles (deg): 90.00 90.00 90.00
Sites, in units of the cell vectors:
Sc (0.676, 0.176, 0.000)
Sc (0.324, 0.824, 0.000)
Sc (0.176, 0.324, 0.000)
Sc (0.824, 0.676, 0.000)
Co (0.000, 0.000, 0.000)
Co (0.500, 0.500, 0.000)
B (0.126, 0.626, 0.000)
B (0.874, 0.374, 0.000)
B (0.626, 0.874, 0.000)
B (0.374, 0.126, 0.000)
Ir (0.215, 0.071, 0.500)
Ir (0.785, 0.929, 0.500)
Ir (0.071, 0.785, 0.500)
Ir (0.715, 0.429, 0.500)
Ir (0.929, 0.215, 0.500)
Ir (0.285, 0.571, 0.500)
Ir (0.571, 0.715, 0.500)
Ir (0.429, 0.285, 0.500)
Ir (0.500, 0.000, 0.500)
Ir (0.000, 0.500, 0.500)

Properties
Calculated density ... 14.02 g/cm³
Energy relative to the elements ... -60.9 kJ per mole of atoms
Electronic total energy ... -8.36 eV/atom

(2)
La4Co3B6: optimized geometry, GGA-PBE.

a b c (Å): 5.347 5.351 8.283
angles (deg): 71.30 71.17 60.02
Sites, in units of the cell vectors:
La (0.259, 0.255, 0.227)
La (0.741, 0.745, 0.773)
La (0.409, 0.410, 0.773)
La (0.591, 0.590, 0.227)
Co (0.000, 0.000, 0.000)
Co (0.115, 0.117, 0.652)
Co (0.885, 0.883, 0.348)
B (0.832, 0.500, 0.500)
B (0.500, 0.168, 0.500)
B (0.168, 0.832, 0.500)
B (0.500, 0.832, 0.500)
B (0.832, 0.168, 0.500)
B (0.168, 0.500, 0.500)

Properties
Calculated density ... 6.95 g/cm³
Energy relative to the elements ... -27.7 kJ per mole of atoms
Electronic total energy ... -6.53 eV/atom

(3)
LaCo2B2: optimized geometry, GGA-PBE.

a b c (Å): 3.602 3.602 5.720
angles (deg): 108.35 108.35 90.00
Sites, in units of the cell vectors:
La (0.000, 0.000, 0.000)
Co (0.250, 0.750, 0.500)
Co (0.750, 0.250, 0.500)
B (0.667, 0.667, 0.333)
B (0.333, 0.333, 0.667)

Properties
Calculated density ... 6.96 g/cm³
Energy relative to the elements ... -46.3 kJ per mole of atoms
Electronic total energy ... -6.98 eV/atom

(4)
LaYCo8B2: optimized geometry, GGA-PBE.

a b c (Å): 5.043 5.043 6.864
angles (deg): 90.00 90.00 120.00
Sites, in units of the cell vectors:
La (0.000, 0.000, 0.000)
Y (0.000, 0.000, 0.500)
Co (0.500, 0.500, 0.709)
Co (0.500, 0.000, 0.709)
Co (0.000, 0.500, 0.709)
Co (0.500, 0.500, 0.291)
Co (0.500, 0.000, 0.291)
Co (0.000, 0.500, 0.291)
Co (0.667, 0.333, 0.000)
Co (0.333, 0.667, 0.000)
B (0.667, 0.333, 0.500)
B (0.333, 0.667, 0.500)

Properties
Calculated density ... 7.92 g/cm³
Energy relative to the elements ... -25.0 kJ per mole of atoms
Electronic total energy ... -7.06 eV/atom

(5)
LuCo4B4: optimized geometry, GGA-PBE.

a b c (Å): 4.978 4.978 6.921
angles (deg): 90.00 90.00 90.00
Sites, in units of the cell vectors:
Lu (0.000, 0.000, 0.000)
Lu (0.500, 0.500, 0.500)
Co (0.253, 0.500, 0.862)
Co (0.747, 0.500, 0.862)
Co (0.000, 0.753, 0.362)
Co (0.000, 0.247, 0.362)
Co (0.247, 0.000, 0.638)
Co (0.753, 0.000, 0.638)
Co (0.500, 0.747, 0.138)
Co (0.500, 0.253, 0.138)
B (0.825, 0.500, 0.157)
B (0.175, 0.500, 0.157)
B (0.000, 0.325, 0.657)
B (0.000, 0.675, 0.657)
B (0.675, 0.000, 0.343)
B (0.325, 0.000, 0.343)
B (0.500, 0.175, 0.843)
B (0.500, 0.825, 0.843)

Properties
Calculated density ... 8.79 g/cm³
Energy relative to the elements ... -50.9 kJ per mole of atoms
Electronic total energy ... -7.16 eV/atom

(6)
Lu3Co11B4: optimized geometry, GGA-PBE.

a b c (Å): 4.987 4.989 9.787
angles (deg): 90.00 90.00 119.99
Sites, in units of the cell vectors:
Lu (0.000, 0.000, 0.000)
Lu (0.000, 0.000, 0.341)
Lu (0.000, 0.000, 0.659)
Co (0.333, 0.667, 0.000)
Co (0.667, 0.333, 0.000)
Co (0.500, 0.000, 0.500)
Co (0.500, 0.500, 0.500)
Co (0.000, 0.500, 0.500)
Co (0.500, 0.000, 0.202)
Co (0.500, 0.500, 0.202)
Co (0.000, 0.500, 0.202)
Co (0.500, 0.000, 0.799)
Co (0.500, 0.500, 0.799)
Co (0.000, 0.500, 0.799)
B (0.333, 0.667, 0.349)
B (0.667, 0.333, 0.349)
B (0.667, 0.334, 0.650)
B (0.333, 0.666, 0.650)

Properties
Calculated density ... 9.58 g/cm³
Energy relative to the elements ... -38.8 kJ per mole of atoms
Electronic total energy ... -6.98 eV/atom

(7)
LuCo4B: optimized geometry, GGA-PBE.

a b c (Å): 4.962 4.962 6.835
angles (deg): 90.00 90.00 120.00
Sites, in units of the cell vectors:
Lu (0.000, 0.000, 0.500)
Lu (0.000, 0.000, 0.000)
Co (0.333, 0.667, 0.500)
Co (0.667, 0.333, 0.500)
Co (0.500, 0.000, 0.213)
Co (0.500, 0.000, 0.787)
Co (0.000, 0.500, 0.213)
Co (0.000, 0.500, 0.787)
Co (0.500, 0.500, 0.213)
Co (0.500, 0.500, 0.787)
B (0.333, 0.667, 0.000)
B (0.667, 0.333, 0.000)

Properties
Calculated density ... 9.61 g/cm³
Energy relative to the elements ... -32.0 kJ per mole of atoms
Electronic total energy ... -6.94 eV/atom

(8)
Lu4CoB13: optimized geometry, GGA-PBE.

a b c (Å): 7.203 7.203 6.749
angles (deg): 90.00 90.00 90.00
Sites, in units of the cell vectors:
Lu (0.185, 0.318, 0.000)
Lu (0.315, 0.818, 0.500)
Lu (0.685, 0.182, 0.500)
Lu (0.815, 0.682, 0.000)
Lu (0.318, 0.815, 0.000)
Lu (0.682, 0.185, 0.000)
Lu (0.182, 0.315, 0.500)
Lu (0.818, 0.685, 0.500)
Co (0.000, 0.000, 0.000)
Co (0.500, 0.500, 0.500)
B (0.671, 0.461, 0.246)
B (0.410, 0.090, 0.250)
B (0.829, 0.961, 0.746)
B (0.461, 0.329, 0.754)
B (0.539, 0.671, 0.246)
B (0.910, 0.410, 0.750)
B (0.829, 0.961, 0.254)
B (0.961, 0.171, 0.254)
B (0.590, 0.910, 0.250)
B (0.039, 0.829, 0.254)
B (0.039, 0.829, 0.746)
B (0.329, 0.539, 0.246)
B (0.090, 0.590, 0.750)
B (0.961, 0.171, 0.746)
B (0.090, 0.590, 0.250)
B (0.500, 0.500, 0.000)
B (0.410, 0.090, 0.750)
B (0.590, 0.910, 0.750)
B (0.910, 0.410, 0.250)
B (0.329, 0.539, 0.754)
B (0.671, 0.461, 0.754)
B (0.461, 0.329, 0.246)
B (0.171, 0.039, 0.254)
B (0.171, 0.039, 0.746)
B (0.539, 0.671, 0.754)
B (0.000, 0.000, 0.500)

Properties
Calculated density ... 8.53 g/cm³
Energy relative to the elements ... -51.0 kJ per mole of atoms
Electronic total energy ... -6.75 eV/atom

(9)
Lu2CoB6: optimized geometry, GGA-PBE.

a b c (Å): 3.489 8.984 11.325
angles (deg): 90.00 90.00 90.00
Sites, in units of the cell vectors:
Lu (0.000, 0.824, 0.085)
Lu (0.000, 0.176, 0.915)
Lu (0.000, 0.324, 0.415)
Lu (0.000, 0.676, 0.585)
Lu (0.000, 0.444, 0.129)
Lu (0.000, 0.556, 0.871)
Lu (0.000, 0.944, 0.371)
Lu (0.000, 0.056, 0.629)
Co (0.000, 0.140, 0.179)
Co (0.000, 0.860, 0.821)
Co (0.000, 0.640, 0.321)
Co (0.000, 0.360, 0.679)
B (0.500, 0.054, 0.066)
B (0.500, 0.946, 0.934)
B (0.500, 0.554, 0.434)
B (0.500, 0.446, 0.566)
B (0.500, 0.248, 0.081)
B (0.500, 0.752, 0.919)
B (0.500, 0.748, 0.419)
B (0.500, 0.252, 0.581)
B (0.500, 0.293, 0.236)
B (0.500, 0.707, 0.764)
B (0.500, 0.793, 0.264)
B (0.500, 0.207, 0.736)
B (0.500, 0.134, 0.316)
B (0.500, 0.866, 0.684)
B (0.500, 0.634, 0.184)
B (0.500, 0.366, 0.816)
B (0.500, 0.485, 0.288)
B (0.500, 0.515, 0.712)
B (0.500, 0.985, 0.212)
B (0.500, 0.015, 0.788)
B (0.500, 0.107, 0.471)
B (0.500, 0.893, 0.529)
B (0.500, 0.607, 0.029)
B (0.500, 0.393, 0.971)

Properties
Calculated density ... 8.86 g/cm³
Energy relative to the elements ... -63.0 kJ per mole of atoms
Electronic total energy ... -6.90 eV/atom

(10)
Lu3Co29Si4B10: optimized geometry, GGA-PBE.

a b c (Å): 11.085 11.085 7.790
angles (deg): 90.00 90.00 90.00
Sites, in units of the cell vectors:
Lu (0.250, 0.750, 0.000)
Lu (0.250, 0.250, 0.000)
Lu (0.750, 0.750, 0.000)
Lu (0.750, 0.250, 0.000)
Lu (0.000, 0.000, 0.500)
Lu (0.500, 0.500, 0.500)
Co (0.339, 0.674, 0.336)
Co (0.271, 0.000, 0.527)
Co (0.500, 0.771, 0.527)
Co (0.500, 0.229, 0.527)
Co (0.835, 0.500, 0.970)
Co (0.000, 0.665, 0.970)
Co (0.000, 0.335, 0.970)
Co (0.165, 0.500, 0.970)
Co (0.665, 0.000, 0.030)
Co (0.335, 0.000, 0.030)
Co (0.500, 0.835, 0.030)
Co (0.500, 0.165, 0.030)
Co (0.883, 0.383, 0.247)
Co (0.883, 0.617, 0.247)
Co (0.117, 0.383, 0.247)
Co (0.117, 0.617, 0.247)
Co (0.617, 0.883, 0.753)
Co (0.383, 0.117, 0.753)
Co (0.383, 0.883, 0.753)
Co (0.617, 0.117, 0.753)
Co (0.890, 0.390, 0.698)
Co (0.890, 0.610, 0.698)
Co (0.110, 0.390, 0.698)
Co (0.110, 0.610, 0.698)
Co (0.610, 0.890, 0.302)
Co (0.390, 0.110, 0.302)
Co (0.390, 0.890, 0.302)
Co (0.610, 0.110, 0.302)
Co (0.339, 0.326, 0.336)
Co (0.826, 0.161, 0.336)
Co (0.174, 0.839, 0.336)
Co (0.661, 0.674, 0.336)
Co (0.161, 0.826, 0.664)
Co (0.839, 0.174, 0.664)
Co (0.326, 0.339, 0.664)
Co (0.610, 0.500, 0.888)
Co (0.161, 0.174, 0.664)
Co (0.674, 0.339, 0.664)
Co (0.326, 0.661, 0.664)
Co (0.839, 0.826, 0.664)
Co (0.729, 0.000, 0.527)
Co (0.000, 0.890, 0.888)
Co (0.174, 0.161, 0.336)
Co (0.826, 0.839, 0.336)
Co (0.000, 0.110, 0.888)
Co (0.390, 0.500, 0.888)
Co (0.500, 0.000, 0.536)
Co (0.000, 0.500, 0.464)
Co (0.110, 0.000, 0.112)
Co (0.229, 0.500, 0.473)
Co (0.000, 0.271, 0.473)
Co (0.000, 0.729, 0.473)
Co (0.771, 0.500, 0.473)
Co (0.500, 0.610, 0.112)
Co (0.500, 0.390, 0.112)
Co (0.890, 0.000, 0.112)
Co (0.674, 0.661, 0.664)
Co (0.661, 0.326, 0.336)
Si (0.500, 0.683, 0.825)
Si (0.317, 0.500, 0.175)
Si (0.000, 0.183, 0.175)
Si (0.000, 0.817, 0.175)
Si (0.683, 0.500, 0.175)
Si (0.183, 0.000, 0.825)
Si (0.817, 0.000, 0.825)
Si (0.500, 0.317, 0.825)
B (0.686, 0.186, 0.519)
B (0.314, 0.814, 0.519)
B (0.314, 0.186, 0.519)
B (0.686, 0.814, 0.519)
B (0.186, 0.686, 0.481)
B (0.186, 0.314, 0.481)
B (0.500, 0.256, 0.264)
B (0.500, 0.744, 0.264)
B (0.244, 0.000, 0.264)
B (0.756, 0.000, 0.264)
B (0.256, 0.500, 0.736)
B (0.000, 0.244, 0.736)
B (0.000, 0.756, 0.736)
B (0.744, 0.500, 0.736)
B (0.500, 0.000, 0.149)
B (0.000, 0.500, 0.851)
B (0.500, 0.000, 0.893)
B (0.000, 0.500, 0.107)
B (0.814, 0.686, 0.481)
B (0.814, 0.314, 0.481)

Properties
Calculated density ... 8.52 g/cm³
Energy relative to the elements ... -40.9 kJ per mole of atoms
Electronic total energy ... -7.12 eV/atom

(11)
Mg6CoB: optimized geometry, GGA-PBE.

a b c (Å): 4.494 6.235 10.053
angles (deg): 90.00 90.00 90.00
Sites, in units of the cell vectors:
Mg (0.000, 0.251, 0.593)
Mg (0.000, 0.749, 0.593)
Mg (0.500, 0.247, 0.408)
Mg (0.500, 0.753, 0.408)
Mg (0.500, 0.000, 0.676)
Mg (0.500, 0.000, 0.173)
Mg (0.000, 0.751, 0.093)
Mg (0.000, 0.249, 0.093)
Mg (0.500, 0.747, 0.908)
Mg (0.500, 0.253, 0.908)
Mg (0.500, 0.500, 0.176)
Mg (0.500, 0.500, 0.673)
Co (0.000, 0.000, 0.838)
Co (0.000, 0.500, 0.338)
B (0.000, 0.000, 0.311)
B (0.000, 0.500, 0.811)

Properties
Calculated density ... 2.54 g/cm³
Energy relative to the elements ... 40.9 kJ per mole of atoms
Excess energy over the best structure of this formula in the dataset ... 376 meV/atom
Electronic total energy ... -2.50 eV/atom

(12)
Mg6CoB: optimized geometry, GGA-PBE.

a b c (Å): 3.179 9.384 10.159
angles (deg): 90.00 90.00 90.00
Sites, in units of the cell vectors:
Mg (0.000, 0.669, 0.122)
Mg (0.000, 0.331, 0.122)
Mg (0.000, 0.500, 0.846)
Mg (0.500, 0.775, 0.875)
Mg (0.500, 0.225, 0.875)
Mg (0.500, 0.500, 0.582)
Mg (0.000, 0.169, 0.622)
Mg (0.000, 0.831, 0.622)
Mg (0.000, 0.000, 0.346)
Mg (0.500, 0.275, 0.375)
Mg (0.500, 0.725, 0.375)
Mg (0.500, 0.000, 0.082)
Co (0.000, 0.500, 0.339)
Co (0.000, 0.000, 0.839)
B (0.500, 0.500, 0.240)
B (0.500, 0.000, 0.740)

Properties
Calculated density ... 2.36 g/cm³
Energy relative to the elements ... 4.6 kJ per mole of atoms
Excess energy over the best structure of this formula in the dataset ... 0 meV/atom
Electronic total energy ... -2.88 eV/atom